Density functional theory data (PBE) for a relaxed structure of Sr2SiCl2O3.

Properties
* space-group type: I4/m, No. 87
* total energy after the MP2020 corrections: -6.499 eV/atom
* energy of formation from the pure elements: -3081 meV per atom

Structure (extended XYZ):
```
32
Lattice="-5.648 5.648 4.836 5.648 -5.648 4.836 5.648 5.648 -4.836" Properties=species:S:1:pos:R:3 pbc="T T T"
Sr 6.567 -2.812 2.612
Sr 2.835 -0.920 2.224
Sr 8.460 0.920 2.224
Sr 0.920 2.835 2.224
Sr 4.728 2.812 2.612
Sr -2.812 4.728 2.612
Sr 2.812 6.567 2.612
Sr -0.920 8.460 2.224
Si 6.738 3.591 0.000
Si 3.591 4.557 0.000
Si 2.056 1.090 4.836
Si -1.090 2.056 4.836
Cl 2.881 1.089 0.000
Cl 0.000 0.000 1.944
Cl 5.648 0.000 2.418
Cl 4.559 -2.766 4.836
Cl 1.089 8.414 0.000
Cl 0.000 5.648 2.418
Cl 0.000 0.000 7.727
Cl 2.766 4.559 4.836
O 7.108 2.881 -1.409
O 2.881 4.187 -1.409
O 5.079 3.794 0.000
O 7.108 2.881 1.409
O 1.854 -0.568 4.836
O 2.767 1.460 3.426
O 2.881 4.187 1.409
O 3.794 6.216 0.000
O -1.460 2.766 3.426
O 0.568 1.854 4.836
O 2.767 1.460 6.245
O -1.460 2.766 6.245
```

Density functional theory data (PBE) for a relaxed structure of Tb3Si2Cl5O6.

Properties
* space-group type: C2/m, No. 12
* total energy after the MP2020 corrections: -7.021 eV/atom
* energy of formation from the pure elements: -3040 meV per atom

Structure (extended XYZ):
```
32
Lattice="5.346 -5.236 0.000 5.346 5.236 0.000 -2.685 0.000 11.463" Properties=species:S:1:pos:R:3 pbc="T T T"
Tb 1.330 2.618 5.732
Tb 1.329 2.629 9.519
Tb 6.677 2.629 1.944
Tb 1.330 -2.618 5.732
Tb 1.329 -2.629 9.519
Tb 6.677 -2.629 1.944
Si 4.003 3.708 4.080
Si 4.002 3.708 7.383
Si 4.003 -3.708 4.080
Si 4.002 -3.708 7.383
Cl 4.004 2.913 0.907
Cl 1.912 0.000 1.849
Cl 2.011 0.000 5.752
Cl 4.001 2.913 10.556
Cl 1.778 0.000 9.790
Cl 6.228 0.000 1.673
Cl 4.004 -2.913 0.907
Cl 5.995 0.000 5.711
Cl 6.094 0.000 9.615
Cl 4.001 -2.913 10.556
O 2.599 2.952 3.760
O -1.353 0.000 7.949
O 2.602 2.942 7.702
O 4.003 3.729 5.732
O 5.403 2.942 3.761
O 5.407 2.952 7.704
O 2.599 -2.952 3.760
O 2.602 -2.942 7.702
O 4.003 -3.729 5.732
O 5.403 -2.942 3.761
O 9.359 0.000 3.515
O 5.407 -2.952 7.704
```

Density functional theory data (PBE) for a relaxed structure of Y3Si2ClO8.

Properties
* space-group type: Pnma, No. 62
* total energy after the MP2020 corrections: -8.714 eV/atom
* energy of formation from the pure elements: -3593 meV per atom

Structure (extended XYZ):
```
56
Lattice="6.917 0.000 0.000 0.000 17.920 0.000 0.000 0.000 6.245" Properties=species:S:1:pos:R:3 pbc="T T T"
Y 0.100 1.617 0.797
Y 0.100 7.343 0.797
Y 1.427 13.440 2.404
Y 2.032 4.480 5.527
Y 3.358 10.577 3.920
Y 3.358 16.303 3.920
Y 3.559 1.617 2.326
Y 3.559 7.343 2.326
Y 4.885 13.440 0.719
Y 5.490 4.480 3.841
Y 6.817 10.577 5.449
Y 6.817 16.303 5.449
Si 0.165 1.789 3.880
Si 0.165 7.171 3.880
Si 3.294 10.749 0.757
Si 3.294 16.131 0.757
Si 3.623 1.789 5.488
Si 3.623 7.171 5.488
Si 6.752 10.749 2.365
Si 6.752 16.131 2.365
Cl 0.292 4.480 1.477
Cl 3.167 13.440 4.599
Cl 3.750 4.480 1.646
Cl 6.625 13.440 4.769
O 0.084 0.550 4.935
O 0.084 8.410 4.935
O 0.236 3.157 4.839
O 0.236 5.804 4.839
O 1.156 11.076 3.320
O 1.156 15.805 3.320
O 1.363 1.701 2.782
O 1.363 7.259 2.782
O 2.096 10.661 5.905
O 2.096 16.219 5.905
O 2.302 2.116 0.197
O 2.302 6.844 0.197
O 3.222 12.117 1.717
O 3.222 14.764 1.717
O 3.374 9.510 1.812
O 3.374 17.370 1.812
O 3.543 0.550 4.433
O 3.543 8.410 4.433
O 3.694 3.157 4.529
O 3.694 5.804 4.529
O 4.615 11.076 6.048
O 4.615 15.805 6.048
O 4.821 1.701 0.341
O 4.821 7.259 0.341
O 5.554 10.661 3.463
O 5.554 16.219 3.463
O 5.760 2.116 2.926
O 5.760 6.844 2.926
O 6.681 12.117 1.406
O 6.681 14.764 1.406
O 6.833 9.510 1.310
O 6.833 17.370 1.310
```

Density functional theory data (PBE) for a relaxed structure of Y3Si2Cl5O6.

Properties
* space-group type: C2/m, No. 12
* total energy after the MP2020 corrections: -7.351 eV/atom
* energy of formation from the pure elements: -3027 meV per atom

Structure (extended XYZ):
```
32
Lattice="5.347 -5.223 0.000 5.347 5.223 0.000 -2.677 0.000 11.424" Properties=species:S:1:pos:R:3 pbc="T T T"
Y 1.335 2.612 5.712
Y 1.335 2.619 9.486
Y 6.682 2.619 1.938
Y 1.335 -2.612 5.712
Y 1.335 -2.619 9.486
Y 6.682 -2.619 1.938
Si 4.010 3.698 4.063
Si 4.007 3.698 7.360
Si 4.010 -3.698 4.063
Si 4.007 -3.698 7.360
Cl 4.007 2.878 0.900
Cl 1.879 0.000 1.847
Cl 2.026 0.000 5.730
Cl 4.010 2.878 10.523
Cl 1.765 0.000 9.771
Cl 6.252 0.000 1.653
Cl 4.007 -2.878 0.900
Cl 5.991 0.000 5.694
Cl 6.138 0.000 9.576
Cl 4.010 -2.878 10.523
O 2.604 2.944 3.748
O -1.358 0.000 7.934
O 2.610 2.925 7.676
O 4.008 3.735 5.712
O 5.407 2.925 3.748
O 5.413 2.944 7.675
O 2.604 -2.944 3.748
O 2.610 -2.925 7.676
O 4.008 -3.735 5.712
O 5.407 -2.925 3.748
O 9.375 0.000 3.490
O 5.413 -2.944 7.675
```

Density functional theory data (PBE) for a relaxed structure of SmClO.

Properties
* space-group type: P4/nmm, No. 129
* total energy after the MP2020 corrections: -7.123 eV/atom
* energy of formation from the pure elements: -3285 meV per atom

Structure (extended XYZ):
```
6
Lattice="4.014 0.000 0.000 0.000 4.014 0.000 0.000 0.000 6.795" Properties=species:S:1:pos:R:3 pbc="T T T"
Sm 1.003 1.003 1.162
Sm 3.010 3.010 5.633
Cl 1.003 1.003 4.265
Cl 3.010 3.010 2.529
O 1.003 3.010 0.000
O 3.010 1.003 0.000
```

Density functional theory data (PBE) for a relaxed structure of Sm2Cl2O.

Properties
* space-group type: P4/mmm, No. 123
* total energy after the MP2020 corrections: -5.023 eV/atom
* energy of formation from the pure elements: -1406 meV per atom

Structure (extended XYZ):
```
5
Lattice="4.261 0.000 0.000 0.000 4.261 0.000 0.000 0.000 13.028" Properties=species:S:1:pos:R:3 pbc="T T T"
Sm 0.000 0.000 2.131
Sm 0.000 0.000 10.897
Cl 0.000 0.000 4.648
Cl 0.000 0.000 8.380
O 0.000 0.000 0.000
```

Density functional theory data (PBE) for a relaxed structure of SmTiClO3.

Properties
* space-group type: C2/m, No. 12
* total energy after the MP2020 corrections: -8.293 eV/atom
* energy of formation from the pure elements: -3408 meV per atom

Structure (extended XYZ):
```
12
Lattice="4.924 -1.987 0.000 4.924 1.987 0.000 -2.914 0.000 9.735" Properties=species:S:1:pos:R:3 pbc="T T T"
Sm 1.569 0.000 2.003
Sm 5.365 0.000 7.733
Ti 2.089 0.000 5.512
Ti 4.845 0.000 4.223
Cl -1.519 0.000 8.806
Cl 8.452 0.000 0.930
O 0.374 0.000 4.270
O 1.298 0.000 7.215
O 3.066 0.000 3.686
O 3.867 0.000 6.049
O 5.635 0.000 2.520
O 6.560 0.000 5.466
```

Density functional theory data (PBE) for a relaxed structure of SnCl3O4.

Properties
* polymorph energy (0 for the lowest one): 0.00 kJ/mol of atoms
* space-group type: P2_1/c, No. 14
* total energy after the MP2020 corrections: -3.938 eV/atom
* energy of formation from the pure elements: -270 meV per atom

Structure (extended XYZ):
```
32
Lattice="10.085 0.000 0.000 0.000 6.653 0.000 -9.164 0.000 12.831" Properties=species:S:1:pos:R:3 pbc="T T T"
Sn -2.881 0.255 6.353
Sn -7.463 3.071 12.769
Sn 8.384 3.582 0.062
Sn 3.801 6.398 6.478
Cl -7.058 4.102 10.706
Cl -2.475 5.878 4.290
Cl -6.278 0.944 12.621
Cl -1.696 2.383 6.206
Cl 3.435 4.083 1.365
Cl -1.147 5.897 7.781
Cl 2.068 0.757 5.050
Cl -2.514 2.570 11.466
Cl 2.617 4.270 6.625
Cl 7.199 5.710 0.210
Cl 3.396 0.775 8.541
Cl 7.978 2.552 2.125
O 0.180 4.462 0.531
O -4.402 5.518 6.946
O -4.355 4.636 8.507
O 0.227 5.344 2.091
O 0.613 4.702 3.052
O -3.969 5.278 9.468
O -2.725 1.133 8.257
O 1.857 2.193 1.842
O -0.936 4.460 10.989
O 3.646 5.520 4.573
O 4.890 1.376 3.363
O 0.308 1.951 9.779
O 0.694 1.310 10.740
O 5.276 2.017 4.324
O 5.322 1.135 5.885
O 0.740 2.192 12.300
```